Density functional theory data (PBE+U) for MgV4CoNiO12 after structural relaxation.

Summary:
As for the formation energy: -41.07 eV per formula unit. For the total magnetization, the calculation gives 7.00 μB per cell. For the calculated density, the calculation gives 3.59 g/cm3. The total energy is -6.950 eV/atom.

abc: 6.879 6.885 5.725
angles: 73.62 106.41 99.46
Positions (direct):
Co 0.078 0.077 0.750
V 0.181 0.606 0.752
O 0.642 0.349 0.436
O 0.993 0.792 0.648
V 0.607 0.181 0.748
V 0.385 0.805 0.259
O 0.629 0.921 0.289
O 0.970 0.196 0.349
O 0.196 0.969 0.151
O 0.092 0.360 0.779
O 0.793 0.993 0.852
O 0.404 0.679 0.587
O 0.360 0.091 0.719
O 0.349 0.640 0.065
O 0.920 0.629 0.208
Mg 0.721 0.719 0.753
O 0.678 0.402 0.913
V 0.805 0.384 0.241
Ni 0.918 0.917 0.250

---

Density functional theory data (PBE+U) for VO3 after structural relaxation.

Summary:
As for the formation energy: -4.05 eV per formula unit. For the total magnetization, the calculation gives 16.00 μB per cell. For the calculated density, the calculation gives 2.23 g/cm3. The total energy is -6.449 eV/atom.

abc: 11.725 11.725 8.575
angles: 90.00 90.00 90.00
Positions (direct):
V 0.959 0.165 0.432
O 0.564 0.758 0.739
V 0.459 0.665 0.068
O 0.912 0.896 0.387
O 0.104 0.912 0.613
O 0.242 0.436 0.761
O 0.913 0.202 0.114
V 0.335 0.459 0.932
O 0.896 0.088 0.613
O 0.064 0.742 0.261
O 0.436 0.758 0.239
O 0.936 0.258 0.261
O 0.587 0.298 0.386
O 0.702 0.587 0.614
O 0.088 0.104 0.387
O 0.936 0.742 0.761
O 0.896 0.912 0.113
O 0.742 0.064 0.239
O 0.396 0.412 0.387
O 0.798 0.913 0.886
O 0.202 0.087 0.886
O 0.604 0.588 0.387
V 0.165 0.041 0.568
O 0.412 0.604 0.613
O 0.604 0.412 0.887
V 0.041 0.835 0.432
O 0.064 0.258 0.761
O 0.798 0.087 0.386
O 0.087 0.798 0.114
O 0.758 0.564 0.761
O 0.242 0.564 0.261
O 0.413 0.298 0.886
O 0.298 0.413 0.614
V 0.041 0.165 0.932
O 0.436 0.242 0.739
O 0.258 0.064 0.739
O 0.202 0.913 0.386
O 0.758 0.436 0.261
O 0.298 0.587 0.114
O 0.913 0.798 0.614
O 0.702 0.413 0.114
O 0.104 0.088 0.113
V 0.459 0.335 0.568
O 0.588 0.396 0.613
V 0.665 0.541 0.932
V 0.959 0.835 0.932
V 0.541 0.665 0.568
V 0.541 0.335 0.068
O 0.412 0.396 0.113
V 0.165 0.959 0.068
O 0.088 0.896 0.887
V 0.335 0.541 0.432
O 0.258 0.936 0.239
V 0.835 0.041 0.068
V 0.835 0.959 0.568
V 0.665 0.459 0.432
O 0.912 0.104 0.887
O 0.413 0.702 0.386
O 0.587 0.702 0.886
O 0.087 0.202 0.614
O 0.742 0.936 0.739
O 0.564 0.242 0.239
O 0.588 0.604 0.113
O 0.396 0.588 0.887

---

Density functional theory data (PBE+U) for ZnFeBiO5 after structural relaxation.

Summary:
As for the formation energy: -11.74 eV per formula unit. For the total magnetization, the calculation gives 20.00 μB per cell. For the calculated density, the calculation gives 6.01 g/cm3. The total energy is -5.552 eV/atom. The calculation puts the energy above the lowest structure with this stoichiometry at 0 meV/atom.

abc: 10.499 5.349 8.527
angles: 71.10 90.00 90.00
Positions (direct):
Fe 0.612 0.865 0.942
Bi 0.103 0.964 0.157
O 0.281 0.284 0.503
O 0.291 0.818 0.196
O 0.956 0.238 0.016
O 0.047 0.131 0.346
O 0.529 0.676 0.810
Zn 0.901 0.472 0.163
Fe 0.388 0.135 0.058
Bi 0.603 0.036 0.343
O 0.209 0.818 0.696
O 0.456 0.762 0.484
O 0.029 0.324 0.690
O 0.709 0.182 0.804
Bi 0.397 0.964 0.657
Bi 0.897 0.036 0.843
O 0.971 0.676 0.310
Zn 0.099 0.528 0.837
O 0.791 0.182 0.304
Fe 0.888 0.865 0.442
O 0.547 0.869 0.154
O 0.453 0.131 0.846
O 0.471 0.324 0.190
O 0.781 0.716 0.997
O 0.953 0.869 0.654
Zn 0.599 0.472 0.663
O 0.044 0.762 0.984
O 0.544 0.238 0.516
Zn 0.401 0.528 0.337
Fe 0.112 0.135 0.558
O 0.719 0.716 0.497
O 0.219 0.284 0.003

---

Density functional theory data (PBE+U) for Zn2Mo3O8 after structural relaxation.

Summary:
As for the formation energy: -24.21 eV per formula unit. For the total magnetization, the calculation gives 2.00 μB per cell. For the calculated density, the calculation gives 5.47 g/cm3. The total energy is -6.442 eV/atom.

abc: 6.090 6.090 5.458
angles: 71.26 71.26 62.07
Positions (direct):
O 0.885 0.885 0.244
Mo 0.261 0.739 0.000
Zn 0.677 0.677 0.366
O 0.115 0.115 0.756
O 0.613 0.613 0.762
Mo 0.000 0.000 0.500
Mo 0.739 0.261 0.000
O 0.133 0.656 0.753
O 0.867 0.344 0.247
O 0.656 0.133 0.753
O 0.344 0.867 0.247
O 0.387 0.387 0.238
Zn 0.323 0.323 0.634

---

Density functional theory data (PBE+U) for Li5Ti2Mn8O20 after structural relaxation.

Summary:
As for the formation energy: -81.28 eV per formula unit. For the total magnetization, the calculation gives 58.00 μB per cell. For the calculated density, the calculation gives 3.92 g/cm3. The total energy is -7.194 eV/atom.

abc: 6.053 6.053 24.819
angles: 80.15 80.15 57.69
Positions (direct):
O 0.477 0.923 0.149
O 0.351 0.351 0.941
O 0.879 0.320 0.951
O 0.320 0.873 0.449
Mn 0.205 0.701 0.900
Mn 0.395 0.395 0.800
Mn 0.595 0.098 0.700
Mn 0.402 0.402 0.300
O 0.523 0.077 0.851
O 0.077 0.523 0.851
O 0.744 0.292 0.256
O 0.157 0.157 0.542
O 0.121 0.680 0.049
Ti 0.188 0.188 0.402
O 0.949 0.949 0.141
Li 0.068 0.068 0.775
Mn 0.000 0.000 0.000
Mn 0.000 0.500 0.500
Mn 0.500 0.000 0.500
O 0.843 0.843 0.458
O 0.261 0.261 0.744
O 0.761 0.761 0.743
Li 0.323 0.323 0.022
Ti 0.812 0.812 0.598
O 0.320 0.879 0.951
O 0.680 0.127 0.551
O 0.127 0.680 0.551
Mn 0.902 0.405 0.300
O 0.292 0.744 0.256
Mn 0.405 0.902 0.300
O 0.565 0.565 0.343
Li 0.872 0.872 0.374
Li 0.276 0.276 0.175
O 0.512 0.061 0.345
O 0.708 0.256 0.744
O 0.680 0.121 0.049
O 0.239 0.239 0.257
O 0.739 0.739 0.256
O 0.873 0.320 0.449
O 0.876 0.876 0.950
O 0.939 0.488 0.655
O 0.256 0.708 0.744
Li 0.128 0.128 0.626
O 0.932 0.932 0.653
Ti 0.798 0.798 0.100
O 0.649 0.649 0.059
O 0.488 0.939 0.655
O 0.325 0.325 0.448
O 0.923 0.477 0.149
O 0.124 0.124 0.050
Li 0.483 0.483 0.576
Li 0.517 0.517 0.424
Mn 0.000 0.000 0.500
O 0.061 0.512 0.345
Mn 0.598 0.598 0.700
Mn 0.605 0.605 0.200
Ti 0.202 0.202 0.900
Mn 0.299 0.795 0.100
O 0.467 0.467 0.148
Li 0.724 0.724 0.825
Mn 0.795 0.299 0.100
O 0.068 0.068 0.347
O 0.051 0.051 0.859
Li 0.677 0.677 0.978
O 0.675 0.675 0.552
O 0.435 0.435 0.657
Mn 0.098 0.595 0.700
Mn 0.701 0.205 0.900
O 0.533 0.533 0.852
Li 0.932 0.932 0.225

---

Density functional theory data (PBE+U) for Li9Mn2Co5O16 after structural relaxation.

Summary:
As for the formation energy: -58.37 eV per formula unit. For the total magnetization, the calculation gives 12.00 μB per cell. For the calculated density, the calculation gives 4.15 g/cm3. The total energy is -5.815 eV/atom. The calculation puts the energy above the lowest structure with this stoichiometry at 40 meV/atom.

abc: 5.074 5.930 10.171
angles: 89.74 100.37 105.90
Positions (direct):
O 0.227 0.055 0.177
O 0.761 0.921 0.312
O 0.759 0.948 0.819
Li 0.500 0.874 0.124
O 0.255 0.081 0.698
O 0.243 0.789 0.442
O 0.235 0.550 0.679
Co 0.996 0.762 0.247
Li 0.991 0.249 0.245
O 0.766 0.211 0.561
Co 0.498 0.117 0.883
O 0.251 0.329 0.452
Li 0.499 0.631 0.881
Li 0.998 0.748 0.752
Mn 0.999 0.995 0.001
O 0.756 0.668 0.553
Li 0.495 0.368 0.128
Co 0.502 0.375 0.626
O 0.768 0.448 0.323
Li 0.002 0.998 0.499
Co 0.497 0.631 0.366
O 0.232 0.290 0.938
O 0.753 0.178 0.047
Li 0.504 0.124 0.365
O 0.775 0.710 0.060
Li 0.007 0.507 0.002
O 0.254 0.572 0.204
Mn 0.002 0.501 0.500
O 0.235 0.830 0.938
O 0.741 0.421 0.799
Li 0.500 0.872 0.628
Co 0.000 0.248 0.751

---

Question: Number 4 is which compound?
Answer: Zn2Mo3O8